Computed, not measured: a geometry-optimized AuBr structure at the r2SCAN level of DFT.

It has space group I4_1/amd (No. 141, origin choice 2), with a = 7.169 Å, b = 7.169 Å, c = 9.168 Å, α = 90.00°, β = 90.00° and γ = 90.00°. The distinct sites, in fractional coordinates, are Au at (0.000, 0.000, 0.000) and Br at (0.000, 0.250, 0.178).

As for the total energy: -32.08 eV/atom. The value obtained for the formation energy is -0.16 eV/atom.